DFT (PBE-GGA) results for a relaxed structure of CeSiPt3.

abc: 4.0679 4.0679 5.5526
angles: 90.00 90.00 90.00
With the nearest neighbours (Å) after each atom.
Space group P4mm (No. 99)
Asymmetric unit:
Ce1 0.0000 0.0000 0.0000 x1  4 Pt 2.98, 4 Si 3.26
Si1 0.5000 0.5000 0.2753 x1  5 Pt 2.31-2.41
Pt1 0.0000 0.5000 0.5069 x2  2 Si 2.41
Pt2 0.5000 0.5000 0.8590 x1  1 Si 2.31

Properties
E_form = -1.05 eV/atom

***

DFT (PBE-GGA) results for a relaxed structure of CeSi2Pt.

abc: 4.2693 16.6610 4.2470
angles: 90.00 90.00 90.00
With the nearest neighbours (Å) after each atom.
Space group Cmcm (No. 63)
Asymmetric unit:
Ce1 0.0000 0.1036 0.2500 x4  10 Si 3.14-3.25, 4 Pt 3.26
Si1 0.0000 0.2493 0.7500 x4  4 Pt 2.43-2.44
Si2 0.0000 0.4655 0.2500 x4  1 Pt 2.41, 2 Si 2.41
Pt1 0.0000 0.3210 0.2500 x4  5 Si 2.41-2.44

Properties
E_form = -1.00 eV/atom

***

DFT (PBE-GGA) results for a relaxed structure of CeSiPt.

abc: 4.1545 4.1545 14.6319
angles: 90.00 90.00 90.00
With the nearest neighbours (Å) after each atom.
Space group I4_1md (No. 109)
Asymmetric unit:
Ce1 0.0000 0.0000 0.0000 x4  6 Si 3.17-3.23, 6 Pt 3.18-3.19
Si1 0.0000 0.0000 0.4187 x4  3 Pt 2.41-2.44
Pt1 0.0000 0.0000 0.5856 x4  3 Si 2.41-2.44

Properties
E_form = -1.11 eV/atom